A | {"formula": "V2O3F", "functional": "PBE with a Hubbard U", "state": "relaxed", "lattice": [[3.422, 4.413, 0.000], [-3.422, 4.413, 0.000], [0.000, 0.509, 8.808]], "species": ["F", "F", "O", "V", "O", "O", "O", "O", "V", "V", "O", "O", "O", "V", "F", "V", "F", "V", "O", "O", "O", "O", "V", "V"], "fractional_positions": [[0.803, 0.197, 0.500], [0.552, 0.948, 0.749], [0.278, 0.277, 0.529], [0.133, 0.116, 0.375], [0.783, 0.776, 0.028], [0.972, 0.971, 0.221], [0.224, 0.217, 0.972], [0.723, 0.722, 0.471], [0.465, 0.535, 0.500], [0.629, 0.621, 0.875], [0.950, 0.552, 0.751], [0.309, 0.691, 0.000], [0.448, 0.050, 0.249], [0.884, 0.867, 0.625], [0.705, 0.295, 0.000], [0.046, 0.954, 0.000], [0.052, 0.448, 0.251], [0.212, 0.287, 0.751], [0.029, 0.028, 0.779], [0.533, 0.525, 0.279], [0.475, 0.467, 0.721], [0.203, 0.797, 0.500], [0.379, 0.371, 0.125], [0.713, 0.788, 0.249]]}


B | {"formula": "V2O3F", "functional": "PBE with a Hubbard U", "state": "relaxed", "lattice": [[3.480, -1.949, -3.921], [0.994, -7.374, 6.439], [-1.983, -4.324, -2.900]], "species": ["O", "O", "V", "F", "O", "O", "O", "O", "O", "V", "V", "O", "V", "O", "V", "V", "O", "V", "O", "F", "F", "F", "O", "V"], "fractional_positions": [[0.325, 0.347, 0.979], [0.114, 0.906, 0.703], [0.913, 0.774, 0.637], [0.408, 0.103, 0.801], [0.138, 0.595, 0.049], [0.813, 0.346, 0.496], [0.907, 0.103, 0.302], [0.927, 0.153, 0.773], [0.670, 0.654, 0.018], [0.002, 0.003, 0.010], [0.126, 0.250, 0.376], [0.171, 0.654, 0.519], [0.339, 0.727, 0.115], [0.081, 0.847, 0.232], [0.626, 0.250, 0.876], [0.733, 0.500, 0.253], [0.345, 0.397, 0.450], [0.250, 0.498, 0.741], [0.582, 0.847, 0.733], [0.601, 0.897, 0.201], [0.844, 0.398, 0.950], [0.651, 0.603, 0.550], [0.439, 0.154, 0.256], [0.519, 0.000, 0.498]]}


C | {"formula": "V2O3F", "functional": "PBE with a Hubbard U", "state": "relaxed", "lattice": [[3.061, -6.660, 0.000], [3.061, 6.660, 0.000], [0.000, 0.000, 6.419]], "species": ["O", "V", "O", "V", "V", "V", "O", "O", "V", "V", "O", "O", "V", "O", "V", "F", "F", "O", "F", "O", "O", "O", "F", "O"], "fractional_positions": [[0.500, 0.000, 0.809], [0.766, 0.234, 0.000], [0.352, 0.648, 0.500], [0.000, 0.500, 0.500], [0.500, 0.000, 0.500], [0.243, 0.243, 0.000], [0.648, 0.352, 0.500], [0.000, 0.500, 0.191], [0.757, 0.757, 0.000], [0.000, 0.000, 0.500], [0.500, 0.000, 0.191], [0.097, 0.903, 0.000], [0.234, 0.766, 0.000], [0.746, 0.746, 0.704], [0.500, 0.500, 0.500], [0.149, 0.851, 0.500], [0.851, 0.149, 0.500], [0.254, 0.254, 0.704], [0.399, 0.601, 0.000], [0.746, 0.746, 0.296], [0.254, 0.254, 0.296], [0.000, 0.500, 0.809], [0.601, 0.399, 0.000], [0.903, 0.097, 0.000]]}


D | {"formula": "V2O3F", "functional": "PBE with a Hubbard U", "state": "relaxed", "lattice": [[-2.533, 2.453, -3.101], [0.648, -3.622, -2.918], [-10.124, -5.175, 4.176]], "species": ["O", "O", "F", "V", "O", "V", "F", "V", "F", "O", "V", "V", "O", "O", "O", "V", "V", "F", "O", "O", "O", "V", "O", "O"], "fractional_positions": [[0.693, 0.693, 0.125], [0.800, 0.200, 0.750], [0.198, 0.802, 0.751], [0.539, 0.461, 0.251], [0.688, 0.697, 0.375], [0.997, 0.003, 0.625], [0.198, 0.802, 0.000], [0.991, 0.009, 0.875], [0.198, 0.802, 0.249], [0.798, 0.202, 0.000], [0.997, 0.003, 0.375], [0.539, 0.461, 0.749], [0.307, 0.307, 0.875], [0.688, 0.697, 0.625], [0.307, 0.307, 0.125], [0.991, 0.009, 0.125], [0.535, 0.465, 0.000], [0.796, 0.204, 0.500], [0.693, 0.693, 0.875], [0.303, 0.312, 0.625], [0.303, 0.312, 0.375], [0.451, 0.549, 0.500], [0.191, 0.809, 0.500], [0.800, 0.200, 0.250]]}


Relative calculated energies, zero for the most stable structure, unit kJ/mol of atoms: A 0.0; B 3.3; C 4.4; D 0.9.


A | {"formula": "V4O7F5", "functional": "PBE with a Hubbard U", "state": "relaxed", "lattice": [[5.261, 0.000, 0.000], [0.041, 5.374, 0.000], [0.008, 0.215, 7.348]], "species": ["V", "V", "F", "F", "V", "O", "O", "O", "F", "O", "F", "O", "O", "F", "O", "V"], "fractional_positions": [[0.957, 0.975, 0.024], [0.501, 0.532, 0.468], [0.799, 0.704, 0.544], [0.794, 0.292, 0.959], [0.466, 0.465, 0.976], [0.721, 0.787, 0.968], [0.305, 0.785, 0.461], [0.074, 0.002, 0.752], [0.217, 0.715, 0.045], [0.290, 0.219, 0.034], [0.710, 0.219, 0.537], [0.927, 0.998, 0.251], [0.577, 0.500, 0.249], [0.213, 0.305, 0.456], [0.430, 0.496, 0.750], [0.021, 0.006, 0.527]]}


B | {"formula": "V4O7F5", "functional": "PBE with a Hubbard U", "state": "relaxed", "lattice": [[-2.827, 1.288, -4.217], [1.799, 3.884, 3.222], [15.562, -0.864, -7.600]], "species": ["F", "O", "V", "O", "O", "F", "O", "O", "O", "O", "V", "O", "F", "F", "V", "F", "F", "F", "O", "F", "V", "V", "O", "O", "O", "F", "O", "V", "V", "F", "O", "V"], "fractional_positions": [[0.085, 0.024, 0.707], [0.942, 0.166, 0.566], [0.553, 0.288, 0.745], [0.589, 0.578, 0.169], [0.078, 0.333, 0.424], [0.407, 0.396, 0.832], [0.594, 0.060, 0.671], [0.434, 0.435, 0.313], [0.056, 0.807, 0.442], [0.904, 0.441, 0.794], [0.253, 0.165, 0.366], [0.552, 0.539, 0.688], [0.076, 0.531, 0.207], [0.076, 0.820, 0.923], [0.270, 0.652, 0.868], [0.924, 0.165, 0.086], [0.413, 0.687, 0.546], [0.396, 0.906, 0.331], [0.044, 0.295, 0.941], [0.427, 0.195, 0.046], [0.956, 0.011, 0.992], [0.754, 0.427, 0.123], [0.948, 0.678, 0.066], [0.890, 0.955, 0.295], [0.543, 0.051, 0.188], [0.913, 0.654, 0.583], [0.592, 0.792, 0.959], [0.538, 0.799, 0.245], [0.766, 0.914, 0.624], [0.584, 0.294, 0.460], [0.438, 0.923, 0.813], [0.006, 0.521, 0.488]]}


Relative calculated energies, zero for the most stable structure, unit kJ/mol of atoms: A 2.1; B 0.0.


A | {"formula": "V4O7F5", "functional": "PBE with a Hubbard U", "state": "relaxed", "lattice": [[2.293, 4.670, -1.243], [5.841, -1.882, 4.116], [2.260, -2.317, -4.349]], "species": ["O", "O", "F", "F", "F", "V", "O", "V", "F", "V", "O", "O", "O", "O", "V", "F"], "fractional_positions": [[0.560, 0.263, 0.486], [0.211, 0.466, 0.727], [0.420, 0.744, 0.513], [0.715, 0.538, 0.772], [0.271, 0.478, 0.221], [0.016, 0.475, 0.960], [0.760, 0.980, 0.731], [0.028, 0.980, 0.037], [0.260, 0.043, 0.779], [0.526, 0.000, 0.531], [0.050, 0.754, 0.999], [0.764, 0.544, 0.274], [0.223, 0.026, 0.273], [0.937, 0.256, 0.009], [0.536, 0.489, 0.464], [0.722, 0.963, 0.224]]}


B | {"formula": "V4O7F5", "functional": "PBE with a Hubbard U", "state": "relaxed", "lattice": [[5.240, 0.000, 0.000], [2.539, 4.671, 0.000], [2.449, 1.547, 8.603]], "species": ["F", "O", "F", "O", "V", "F", "V", "O", "F", "O", "F", "O", "V", "O", "O", "V"], "fractional_positions": [[0.569, 0.124, 0.625], [0.607, 0.578, 0.659], [0.910, 0.906, 0.847], [0.110, 0.645, 0.590], [0.745, 0.717, 0.743], [0.927, 0.318, 0.411], [0.051, 0.017, 0.983], [0.411, 0.837, 0.914], [0.580, 0.154, 0.098], [0.957, 0.360, 0.881], [0.470, 0.844, 0.378], [0.408, 0.389, 0.347], [0.453, 0.502, 0.492], [0.094, 0.078, 0.164], [0.056, 0.609, 0.126], [0.213, 0.284, 0.229]]}


C | {"formula": "V4O7F5", "functional": "PBE with a Hubbard U", "state": "relaxed", "lattice": [[5.185, 0.000, 0.000], [-0.053, 5.351, 0.000], [-0.031, -0.358, 7.397]], "species": ["F", "V", "F", "O", "O", "V", "F", "O", "O", "F", "O", "V", "O", "V", "O", "F"], "fractional_positions": [[0.796, 0.310, 0.046], [0.970, 0.983, 0.003], [0.211, 0.310, 0.536], [0.717, 0.797, 0.035], [0.416, 0.505, 0.245], [0.467, 0.473, 0.024], [0.293, 0.809, 0.536], [0.587, 0.498, 0.741], [0.924, 0.003, 0.738], [0.096, 0.007, 0.253], [0.718, 0.216, 0.454], [0.535, 0.471, 0.519], [0.295, 0.218, 0.958], [0.971, 0.973, 0.513], [0.787, 0.717, 0.453], [0.218, 0.711, 0.947]]}


Relative calculated energies, zero for the most stable structure, unit kJ/mol of atoms: A 3.2; B 0.0; C 1.0.


A | {"formula": "V4O7F5", "functional": "PBE with a Hubbard U", "state": "relaxed", "lattice": [[-0.307, -0.449, -5.123], [-1.071, -5.253, 0.367], [-7.440, 1.272, 0.321]], "species": ["O", "F", "V", "O", "O", "O", "O", "F", "V", "F", "V", "O", "F", "O", "F", "V"], "fractional_positions": [[0.211, 0.286, 0.462], [0.411, 0.502, 0.750], [0.500, 0.446, 0.002], [0.783, 0.291, 0.963], [0.787, 0.706, 0.539], [0.294, 0.781, 0.465], [0.212, 0.724, 0.037], [0.587, 0.498, 0.252], [0.520, 0.549, 0.503], [0.906, 0.005, 0.246], [0.980, 0.947, 0.996], [0.291, 0.222, 0.039], [0.080, 0.003, 0.752], [0.712, 0.791, 0.960], [0.698, 0.211, 0.541], [0.031, 0.037, 0.491]]}


B | {"formula": "V4O7F5", "functional": "PBE with a Hubbard U", "state": "relaxed", "lattice": [[2.993, -2.025, -3.850], [3.207, 3.199, -2.727], [7.430, 1.051, 5.041]], "species": ["F", "O", "F", "O", "O", "O", "O", "V", "F", "V", "O", "F", "V", "O", "F", "V"], "fractional_positions": [[0.934, 0.723, 0.592], [0.058, 0.754, 0.881], [0.099, 0.243, 0.847], [0.106, 0.238, 0.412], [0.409, 0.753, 0.098], [0.603, 0.242, 0.917], [0.422, 0.745, 0.665], [0.964, 0.001, 0.983], [0.472, 0.225, 0.629], [0.274, 0.524, 0.741], [0.591, 0.253, 0.342], [0.945, 0.265, 0.127], [0.685, 0.518, 0.243], [0.568, 0.746, 0.378], [0.915, 0.756, 0.167], [0.458, 0.015, 0.478]]}


C | {"formula": "V4O7F5", "functional": "PBE with a Hubbard U", "state": "relaxed", "lattice": [[-5.270, -0.016, -0.002], [-2.650, -4.667, 0.030], [-0.006, -2.848, 8.560]], "species": ["O", "V", "O", "O", "F", "O", "O", "V", "F", "F", "F", "V", "V", "O", "O", "F"], "fractional_positions": [[0.053, 0.743, 0.868], [0.246, 0.547, 0.752], [0.449, 0.238, 0.625], [0.951, 0.237, 0.120], [0.922, 0.734, 0.587], [0.412, 0.741, 0.662], [0.102, 0.240, 0.412], [0.453, 0.040, 0.510], [0.074, 0.250, 0.829], [0.599, 0.230, 0.339], [0.921, 0.745, 0.153], [0.731, 0.524, 0.264], [0.041, 0.003, 0.015], [0.406, 0.750, 0.082], [0.565, 0.740, 0.375], [0.575, 0.238, 0.908]]}


D | {"formula": "V4O7F5", "functional": "PBE with a Hubbard U", "state": "relaxed", "lattice": [[2.609, 4.598, 0.000], [-2.609, 4.598, 0.000], [0.000, 2.601, 8.384]], "species": ["F", "V", "F", "O", "V", "V", "F", "O", "O", "O", "F", "O", "F", "O", "V", "O"], "fractional_positions": [[0.336, 0.676, 0.293], [0.781, 0.523, 0.619], [0.707, 0.293, 0.500], [0.836, 0.160, 0.792], [0.985, 0.801, 0.870], [0.199, 0.015, 0.130], [0.324, 0.664, 0.707], [0.662, 0.833, 0.458], [0.304, 0.202, 0.245], [0.798, 0.696, 0.755], [0.185, 0.312, 0.956], [0.167, 0.338, 0.542], [0.688, 0.815, 0.044], [0.210, 0.790, 0.000], [0.477, 0.219, 0.381], [0.840, 0.164, 0.208]]}


Relative calculated energies, zero for the most stable structure, unit kJ/mol of atoms: A 3.4; B 0.0; C 0.9; D 1.9.


A | {"formula": "V4O7F5", "functional": "PBE with a Hubbard U", "state": "relaxed", "lattice": [[-4.909, 1.303, 1.287], [-2.659, -3.183, 3.342], [0.637, 3.874, 8.138]], "species": ["O", "F", "O", "F", "O", "V", "V", "V", "O", "O", "F", "F", "V", "F", "O", "O"], "fractional_positions": [[0.095, 0.080, 0.152], [0.051, 0.622, 0.113], [0.924, 0.341, 0.408], [0.574, 0.123, 0.624], [0.609, 0.594, 0.657], [0.705, 0.745, 0.760], [0.211, 0.261, 0.269], [0.958, 0.021, 0.020], [0.601, 0.156, 0.085], [0.428, 0.405, 0.341], [0.927, 0.907, 0.834], [0.463, 0.872, 0.378], [0.457, 0.511, 0.496], [0.956, 0.375, 0.874], [0.425, 0.839, 0.902], [0.117, 0.647, 0.586]]}


B | {"formula": "V4O7F5", "functional": "PBE with a Hubbard U", "state": "relaxed", "lattice": [[-5.219, -0.008, -0.033], [-2.618, -4.663, -0.013], [0.053, -2.804, 8.496]], "species": ["V", "O", "V", "V", "F", "V", "O", "F", "O", "F", "F", "O", "O", "F", "O", "O"], "fractional_positions": [[0.042, 0.977, 0.005], [0.939, 0.259, 0.130], [0.487, 0.957, 0.506], [0.311, 0.456, 0.752], [0.896, 0.760, 0.165], [0.791, 0.457, 0.256], [0.081, 0.264, 0.412], [0.897, 0.777, 0.581], [0.542, 0.759, 0.381], [0.075, 0.265, 0.825], [0.573, 0.269, 0.331], [0.585, 0.258, 0.909], [0.402, 0.762, 0.088], [0.035, 0.749, 0.871], [0.442, 0.266, 0.623], [0.402, 0.764, 0.664]]}


Relative calculated energies, zero for the most stable structure, unit kJ/mol of atoms: A 2.4; B 0.0.